*A*
MgCo2Bi2O8: relaxed, PBE+U.

Cell lengths 6.510, 6.105, 6.956 Å; angles 59.48, 53.81, 86.59 degrees
Positions (direct):
Bi1 0.000 0.000 0.500
Bi2 0.000 0.000 0.000
O1 0.261 0.738 0.066
O2 0.228 0.275 0.471
O3 0.753 0.246 0.571
O4 0.274 0.227 0.027
O5 0.247 0.754 0.429
O6 0.739 0.262 0.934
O7 0.772 0.725 0.529
O8 0.726 0.773 0.973
Co1 0.500 0.000 0.000
Co2 0.000 0.500 0.500
Mg1 0.500 0.500 0.000

***

*B*
MgCo2Bi2O8: relaxed, PBE+U.

Cell lengths 6.337, 6.337, 6.595 Å; angles 58.67, 58.67, 90.11 degrees
Positions (direct):
O1 0.239 0.241 0.010
O2 0.229 0.255 0.508
O3 0.761 0.239 0.540
O4 0.233 0.767 0.476
O5 0.745 0.771 0.992
O6 0.761 0.239 0.960
O7 0.759 0.761 0.490
O8 0.233 0.767 0.024
Bi1 0.995 0.005 0.994
Bi2 0.995 0.005 0.506
Co1 0.505 0.006 0.994
Co2 0.994 0.495 0.506
Mg1 0.353 0.647 0.750

***

Stability ranking, top and bottom: *A* is the most stable and *B* is the least stable.

***

*A*
MgCoBiO5: relaxed, PBE+U.

Cell lengths 5.310, 10.564, 15.351 Å; angles 90.00, 90.00, 90.00 degrees
Positions (direct):
Mg1 0.006 0.864 0.452
Mg2 0.494 0.364 0.548
Mg3 0.994 0.136 0.548
Mg4 0.506 0.136 0.048
Mg5 0.994 0.636 0.952
Mg6 0.006 0.364 0.048
Mg7 0.494 0.864 0.952
Mg8 0.506 0.636 0.452
O1 0.306 0.025 0.626
O2 0.194 0.525 0.374
O3 0.903 0.324 0.308
O4 0.137 0.805 0.015
O5 0.194 0.025 0.126
O6 0.806 0.475 0.626
O7 0.189 0.044 0.446
O8 0.097 0.176 0.808
O9 0.311 0.044 0.946
O10 0.097 0.676 0.692
O11 0.806 0.975 0.874
O12 0.597 0.824 0.692
O13 0.597 0.324 0.808
O14 0.403 0.176 0.308
O15 0.311 0.544 0.554
O16 0.863 0.695 0.515
O17 0.689 0.956 0.054
O18 0.863 0.195 0.985
O19 0.698 0.208 0.154
O20 0.302 0.792 0.846
O21 0.363 0.305 0.985
O22 0.689 0.456 0.446
O23 0.637 0.695 0.015
O24 0.698 0.708 0.346
O25 0.903 0.824 0.192
O26 0.403 0.676 0.192
O27 0.811 0.956 0.554
O28 0.802 0.208 0.654
O29 0.694 0.475 0.126
O30 0.637 0.195 0.485
O31 0.198 0.292 0.154
O32 0.306 0.525 0.874
O33 0.802 0.708 0.846
O34 0.302 0.292 0.654
O35 0.189 0.544 0.054
O36 0.694 0.975 0.374
O37 0.137 0.305 0.485
O38 0.363 0.805 0.515
O39 0.198 0.792 0.346
O40 0.811 0.456 0.946
Co1 0.982 0.399 0.410
Co2 0.482 0.101 0.410
Co3 0.018 0.101 0.910
Co4 0.518 0.899 0.590
Co5 0.982 0.899 0.090
Co6 0.018 0.601 0.590
Co7 0.482 0.601 0.090
Co8 0.518 0.399 0.910
Bi1 0.474 0.146 0.731
Bi2 0.526 0.854 0.269
Bi3 0.526 0.354 0.231
Bi4 0.026 0.646 0.269
Bi5 0.974 0.854 0.769
Bi6 0.474 0.646 0.769
Bi7 0.974 0.354 0.731
Bi8 0.026 0.146 0.231

***

*B*
MgCoBiO5: relaxed, PBE+U.

Cell lengths 10.553, 5.352, 8.283 Å; angles 69.56, 90.00, 90.00 degrees
Positions (direct):
O1 0.559 0.821 0.168
O2 0.458 0.754 0.494
O3 0.784 0.693 0.007
O4 0.216 0.307 0.993
O5 0.059 0.179 0.332
O6 0.036 0.300 0.683
O7 0.958 0.246 0.006
O8 0.964 0.700 0.317
O9 0.296 0.832 0.176
O10 0.204 0.832 0.676
O11 0.704 0.168 0.824
O12 0.441 0.179 0.832
O13 0.536 0.700 0.817
O14 0.464 0.300 0.183
O15 0.716 0.693 0.507
O16 0.042 0.754 0.994
O17 0.542 0.246 0.506
O18 0.284 0.307 0.493
O19 0.796 0.168 0.324
O20 0.941 0.821 0.668
Co1 0.877 0.842 0.457
Co2 0.377 0.158 0.043
Co3 0.123 0.158 0.543
Co4 0.623 0.842 0.957
Bi1 0.105 0.972 0.157
Bi2 0.895 0.028 0.843
Bi3 0.395 0.972 0.657
Bi4 0.605 0.028 0.343
Mg1 0.086 0.545 0.824
Mg2 0.414 0.545 0.324
Mg3 0.914 0.455 0.176
Mg4 0.586 0.455 0.676

***

Stability ranking, top and bottom: *B* is the most stable and *A* is the least stable.

***

*A*
Co3BiO8: relaxed, PBE+U.

Cell lengths 8.346, 8.346, 8.346 Å; angles 90.00, 90.00, 90.00 degrees
Positions (direct):
O1 0.173 0.852 0.114
O2 0.136 0.398 0.077
O3 0.636 0.102 0.923
O4 0.628 0.128 0.372
O5 0.602 0.577 0.364
O6 0.372 0.628 0.128
O7 0.102 0.923 0.636
O8 0.852 0.114 0.173
O9 0.114 0.173 0.852
O10 0.648 0.886 0.673
O11 0.622 0.878 0.122
O12 0.577 0.364 0.602
O13 0.423 0.864 0.898
O14 0.614 0.327 0.148
O15 0.128 0.372 0.628
O16 0.872 0.872 0.872
O17 0.077 0.136 0.398
O18 0.886 0.673 0.648
O19 0.148 0.614 0.327
O20 0.327 0.148 0.614
O21 0.898 0.423 0.864
O22 0.864 0.898 0.423
O23 0.122 0.622 0.878
O24 0.878 0.122 0.622
O25 0.398 0.077 0.136
O26 0.827 0.352 0.386
O27 0.673 0.648 0.886
O28 0.364 0.602 0.577
O29 0.378 0.378 0.378
O30 0.352 0.386 0.827
O31 0.923 0.636 0.102
O32 0.386 0.827 0.352
Bi1 0.625 0.625 0.625
Bi2 0.875 0.375 0.125
Bi3 0.375 0.125 0.875
Bi4 0.125 0.875 0.375
Co1 0.354 0.375 0.604
Co2 0.896 0.646 0.875
Co3 0.146 0.625 0.104
Co4 0.125 0.396 0.854
Co5 0.625 0.104 0.146
Co6 0.604 0.354 0.375
Co7 0.375 0.604 0.354
Co8 0.396 0.854 0.125
Co9 0.646 0.875 0.896
Co10 0.875 0.896 0.646
Co11 0.104 0.146 0.625
Co12 0.854 0.125 0.396

***

*B*
Co3BiO8: relaxed, PBE+U.

Cell lengths 6.192, 6.192, 6.192 Å; angles 54.32, 54.32, 54.32 degrees
Positions (direct):
Co1 0.500 0.000 0.500
Co2 0.500 0.500 0.000
Co3 0.000 0.500 0.500
O1 0.276 0.276 0.276
O2 0.724 0.724 0.724
O3 0.713 0.244 0.244
O4 0.244 0.244 0.713
O5 0.756 0.756 0.287
O6 0.244 0.713 0.244
O7 0.287 0.756 0.756
O8 0.756 0.287 0.756
Bi1 0.500 0.500 0.500

***

*C*
Co3BiO8: relaxed, PBE+U.

Cell lengths 8.366, 8.308, 8.341 Å; angles 89.99, 90.00, 90.00 degrees
Positions (direct):
O1 0.122 0.126 0.629
O2 0.600 0.639 0.670
O3 0.831 0.613 0.901
O4 0.331 0.387 0.099
O5 0.137 0.922 0.851
O6 0.387 0.650 0.420
O7 0.100 0.361 0.330
O8 0.617 0.854 0.923
O9 0.397 0.865 0.172
O10 0.376 0.621 0.868
O11 0.373 0.872 0.620
O12 0.876 0.379 0.132
O13 0.854 0.829 0.140
O14 0.421 0.104 0.386
O15 0.632 0.630 0.124
O16 0.673 0.112 0.602
O17 0.622 0.874 0.371
O18 0.863 0.579 0.355
O19 0.887 0.350 0.580
O20 0.117 0.146 0.077
O21 0.873 0.128 0.380
O22 0.637 0.078 0.149
O23 0.363 0.421 0.645
O24 0.921 0.896 0.614
O25 0.173 0.888 0.398
O26 0.650 0.328 0.366
O27 0.132 0.370 0.876
O28 0.150 0.672 0.634
O29 0.354 0.171 0.860
O30 0.897 0.135 0.828
O31 0.580 0.400 0.885
O32 0.080 0.600 0.115
Co1 0.627 0.853 0.149
Co2 0.374 0.649 0.646
Co3 0.604 0.626 0.895
Co4 0.104 0.374 0.105
Co5 0.352 0.399 0.873
Co6 0.396 0.876 0.398
Co7 0.147 0.897 0.625
Co8 0.647 0.103 0.375
Co9 0.852 0.601 0.127
Co10 0.874 0.351 0.354
Co11 0.896 0.124 0.602
Co12 0.127 0.147 0.851
Bi1 0.624 0.375 0.627
Bi2 0.376 0.127 0.123
Bi3 0.876 0.873 0.877
Bi4 0.124 0.625 0.373

***

Stability ranking, top and bottom: *C* is the most stable and *B* is the least stable.